[1]
Eu2O3 | PBE | optimized geometry

Geometry as POSCAR:
```
Eu2O3
1.0
-2.0384 0.6921 2.9483
1.4727 -7.2806 0.4672
7.1833 3.3028 4.1910
Eu O
6 9
Cartesian
6.5050 -1.4468 4.8370
3.9908 -3.3490 3.5453
5.8660 2.2725 3.5222
0.1126 -1.8389 2.7696
0.7515 -5.5582 4.0844
2.6267 0.0633 4.0612
1.9739 -2.4437 4.1984
4.6437 -0.8420 3.4082
4.4241 -2.5018 5.9060
-1.0192 0.3461 1.4741
3.7402 2.1024 4.3523
2.8774 -5.3881 3.2542
2.1935 -0.7839 1.7005
-0.5043 -4.0798 2.8691
7.1219 0.7941 4.7375
```

=====

[2]
EuO3 | PBE | optimized geometry

Geometry as POSCAR:
```
EuO3
1.0
2.5087 -4.3452 0.0000
2.5087 4.3452 0.0000
0.0000 0.0000 4.4945
Eu O
2 6
Cartesian
2.5087 1.4484 3.3709
2.5087 -1.4484 1.1236
1.4021 0.8095 1.1236
3.6154 0.8095 1.1236
2.5087 2.7263 1.1236
3.6154 -0.8095 3.3709
1.4021 -0.8095 3.3709
2.5087 -2.7263 3.3709
```

## Properties
spin magnetization	0.746	μB/atom
energy above the most stable polymorph in this dataset	135	meV/atom

=====

[3]
EuO3 | PBE | optimized geometry

Geometry as POSCAR:
```
EuO3
1.0
3.2129 0.0000 0.0000
0.0000 4.9587 0.0000
0.0000 0.0000 6.4882
Eu O
2 6
Cartesian
1.6064 1.8565 0.0693
1.6064 3.1022 3.3133
1.6064 0.4812 4.0050
1.6064 4.4775 0.7609
0.0000 4.7630 0.1943
0.0000 0.1957 3.4384
0.0000 2.3467 1.7511
0.0000 2.6120 4.9952
```

## Properties
spin magnetization	1.390	μB/atom
energy above the most stable polymorph in this dataset	0	meV/atom

=====

[4]
EuOsO3 | PBE | optimized geometry

Geometry as POSCAR:
```
EuOsO3
1.0
-3.7216 -1.1714 0.8293
-0.0706 -2.1526 -3.3573
1.4335 -3.1471 1.9877
Eu Os O
1 1 3
Cartesian
-1.1794 -3.2355 -0.2702
0.0000 0.0000 0.0000
0.7167 -1.5736 0.9938
-0.0353 -1.0763 -1.6787
-1.8608 -0.5857 0.4146
```

## Properties
spin magnetization	1.159	μB/atom

=====

[5]
EuPO4 | PBE | optimized geometry

Geometry as POSCAR:
```
EuPO4
1.0
-3.9094 4.7433 -3.4158
-2.3055 -4.6780 -3.8573
-6.6948 -4.5342 1.3660
Eu P O
4 4 16
Cartesian
-4.4497 1.2653 -2.6608
-4.3851 -4.3498 -3.2936
-8.4600 -5.7342 -3.2463
-8.5246 -0.1191 -2.6135
-5.4932 -0.9911 -4.6667
-3.3777 -2.0496 -1.3193
-7.4166 -3.4778 -1.2404
-9.5320 -2.4193 -4.5878
-6.2476 -0.2767 -3.5192
-3.0057 -2.3001 -2.8009
-6.6622 -4.1922 -2.3879
-9.9040 -2.1688 -3.1062
-4.0709 -0.3771 -4.5738
-4.3311 -3.2324 -1.0026
-8.8388 -4.0918 -1.3333
-8.5786 -1.2365 -4.9045
-10.7771 -2.4770 -5.5084
-7.3950 -1.9356 -1.3889
-2.1326 -1.9919 -0.3987
-5.5147 -2.5333 -4.5182
-8.7699 -3.7544 -4.8334
-6.8389 -3.7682 0.1758
-4.1398 -0.7145 -1.0737
-6.0708 -0.7007 -6.0829
```

=====

[6]
RbEuPO4 | PBE | optimized geometry

Geometry as POSCAR:
```
RbEuPO4
1.0
-1.4823 5.1765 1.2588
-1.4258 -2.1734 7.2586
9.8602 2.1929 2.5934
Rb Eu P O
4 4 4 16
Cartesian
3.6737 1.9294 2.4646
-0.6034 0.0501 5.1564
3.2784 3.2666 8.6461
7.5555 5.1459 5.9543
7.7287 3.0320 2.7055
-0.7766 2.1640 8.4053
5.5102 1.6105 5.9388
1.4419 3.5855 5.1720
2.5038 0.6287 6.4358
4.4483 4.5672 4.6750
6.5582 4.1083 9.0467
0.3939 1.0876 2.0640
8.8026 2.7896 4.9668
-1.8505 2.4063 6.1439
3.6971 0.7260 7.4408
3.2550 4.4699 3.6700
0.4399 1.4691 0.5497
6.5122 3.7269 10.5611
3.0280 1.1165 5.0472
3.9241 4.0795 6.0636
1.3368 1.5599 6.8945
4.9243 6.0493 4.8031
1.4184 -0.0607 2.3306
6.2247 2.8435 8.1933
0.7274 2.3525 2.9175
5.5337 5.2567 8.7801
2.0278 -0.8533 6.3077
5.6153 3.6361 4.2162
```

## Properties
spin magnetization	1.000	μB/atom

=====

[7]
EuZr6P9O36 | PBE | optimized geometry

Geometry as POSCAR:
```
EuZr6P9O36
1.0
4.4864 -7.7707 0.0000
4.4864 7.7707 0.0000
0.0000 0.0000 23.1232
Eu Zr P O
2 12 18 72
Cartesian
0.0000 0.0000 11.5616
0.0000 0.0000 0.0000
4.4864 -2.5902 0.6600
0.0000 0.0000 19.6713
4.4864 2.5902 15.9248
4.4864 -2.5902 12.2216
4.4864 -2.5902 7.1984
4.4864 -2.5902 18.7600
4.4864 2.5902 10.9016
4.4864 2.5902 4.3632
0.0000 0.0000 8.1097
0.0000 0.0000 3.4519
4.4864 2.5902 22.4632
0.0000 0.0000 15.0135
3.1836 -5.5141 17.3424
3.2794 4.8470 1.8508
5.6934 -4.8470 21.2724
6.3671 0.0000 5.7808
3.2794 -4.8470 9.7108
3.1355 0.4165 1.8508
2.6056 0.0000 17.3424
5.8373 -0.4165 21.2724
3.1355 -0.4165 9.7108
5.8373 0.4165 13.4124
5.6934 4.8470 13.4124
1.9284 2.5072 13.4124
7.0443 -2.5072 9.7108
1.9284 -2.5072 21.2724
1.3028 -2.2566 5.7808
7.0443 2.5072 1.8508
3.1836 5.5141 17.3424
1.3028 2.2566 5.7808
3.6003 1.1318 3.1190
6.1666 -2.3911 17.5649
2.7856 -2.3286 22.5371
3.8625 4.1939 0.5862
5.1314 -6.1871 4.5414
5.0920 6.3067 13.4660
8.0078 1.2564 1.9044
2.8062 2.3911 5.5583
6.1925 -2.5521 8.4426
6.1872 2.3286 0.5862
7.9239 1.3504 18.5818
7.4022 -0.2075 21.2188
3.4095 1.2481 0.5862
3.7998 0.9689 9.8021
5.3064 -4.0868 20.0042
1.0489 -1.3504 4.5414
5.5473 3.9955 21.3637
5.3064 4.0868 14.6806
5.1541 4.1449 5.5583
3.4739 -1.2347 17.5649
5.3725 1.1318 14.6806
5.1729 0.9689 21.3637
2.8062 -2.3911 6.0033
6.1925 2.5521 3.1190
3.8625 -4.1939 10.9755
1.5706 0.2075 1.9044
2.7803 2.5521 14.6806
6.2338 2.8063 9.8021
1.6939 -0.2332 16.1030
6.2338 -2.8063 1.7595
5.5633 -1.2481 22.5371
3.4255 -3.9955 1.7595
3.8414 -6.1871 16.1030
5.1729 -0.9689 13.3211
6.1666 2.3911 17.1199
5.1541 -4.1449 6.0033
0.9650 -1.2564 21.2188
8.0078 -1.2564 9.6572
7.2789 0.2332 7.0202
3.8808 6.3067 1.9044
2.7390 -2.8063 13.3211
3.6003 -1.1318 8.4426
2.7390 2.8063 21.3637
7.4022 0.2075 13.4660
1.5706 -0.2075 9.6572
2.7803 -2.5521 20.0042
3.7998 -0.9689 1.7595
1.6939 0.2332 18.5818
5.4989 1.2347 5.5583
3.8187 -4.1449 17.5649
5.0920 -6.3067 21.2188
3.8414 6.1871 18.5818
2.7856 2.3286 12.1478
3.4255 3.9955 9.8021
3.6664 4.0868 3.1190
5.4989 -1.2347 6.0033
7.9239 -1.3504 16.1030
5.3725 -1.1318 20.0042
6.1872 -2.3286 10.9755
5.1103 -4.1939 22.5371
5.1314 6.1871 7.0202
5.5473 -3.9955 13.3211
7.2789 -0.2332 4.5414
1.0489 1.3504 7.0202
3.4739 1.2347 17.1199
5.1103 4.1939 12.1478
0.9650 1.2564 13.4660
5.5633 1.2481 12.1478
3.6664 -4.0868 8.4426
3.8187 4.1449 17.1199
3.8808 -6.3067 9.6572
3.4095 -1.2481 10.9755
```

## Properties
spin magnetization	0.115	μB/atom

=====

[8]
EuPaO4 | PBE | optimized geometry

Geometry as POSCAR:
```
EuPaO4
1.0
-0.1970 -6.4524 -1.6661
0.3215 -3.6873 5.5452
-3.9237 5.1211 -1.6815
Eu Pa O
2 2 8
Cartesian
0.0623 -5.0699 1.9395
-1.7699 -1.8180 2.9016
0.0000 0.0000 0.0000
-2.0292 -3.2006 -0.7041
-1.8541 -1.2661 0.5484
-1.9139 -6.2874 2.6189
-1.8765 1.3157 -0.2992
-0.1527 -4.5162 -0.4049
-3.9144 -1.9318 -1.1254
-1.9538 -3.7993 1.5269
-3.6775 2.0326 1.6326
0.1465 -5.6218 4.2927
```

=====

Computed values of E_tot (unit: eV for the cell shown) for the preceding records, in sequence: -147.0; -58.7; -59.8; -44.5; -205.6; -218.2; -861.2; -119.7.
Computed values of ΔH_f (0 K) (unit: eV per atom) for the preceding records, in sequence: -3.1409; -1.5794; -1.7144; -2.0461; -3.1152; -2.9790; -3.2100; -3.8429.